The following is a PBE calculation of a relaxed B2Au crystal, from Materials Project.

- Size of the total moment: 0.00 μB/atom
- Formation energy from the elements: 669 meV per atom
- Crystal system: hexagonal
- Total DFT energy (no corrections): -4.876 eV per atom

Unit cell a=3.0125 b=3.0125 c=4.2397 alpha=90.00 beta=90.00 gamma=120.00
Space group P6/mmm (No. 191)
Asymmetric unit:
B (0.3333, 0.6667, 0.0000) x2
Au (0.0000, 0.0000, 0.5000) x1